# 1
A plane-wave DFT calculation with PBE was carried out for a relaxed structure of CuPHO4.

Calculated values
Volume = 87 Å³/f.u.
E_form = -1.8785 eV per atom

Structure (POSCAR):
```
CuPHO4
1.0
5.2269 -8.1583 0.0000
5.2269 8.1583 0.0000
-7.5067 0.0000 6.1260
O Cu H P
24 6 6 6
direct
0.2597 0.6717 0.1535 O
0.4512 0.5184 0.1297 O
0.4816 0.8703 0.5488 O
0.5436 0.7736 0.8543 O
0.2264 0.1457 0.4564 O
0.3283 0.8465 0.7403 O
0.8703 0.5488 0.4816 O
0.7403 0.3283 0.8465 O
0.4564 0.2264 0.1457 O
0.1297 0.4512 0.5184 O
0.1535 0.2597 0.6717 O
0.5184 0.1297 0.4512 O
0.3104 0.1089 0.7229 O
0.6717 0.1535 0.2597 O
0.8465 0.7403 0.3283 O
0.6896 0.8911 0.2771 O
0.2771 0.6896 0.8911 O
0.5488 0.4816 0.8703 O
0.8543 0.5436 0.7736 O
0.7736 0.8543 0.5436 O
0.8911 0.2771 0.6896 O
0.1457 0.4564 0.2264 O
0.1089 0.7229 0.3104 O
0.7229 0.3104 0.1089 O
0.8077 0.5642 0.0809 Cu
0.1923 0.4358 0.9191 Cu
0.4358 0.9191 0.1923 Cu
0.5642 0.0809 0.8077 Cu
0.9191 0.1923 0.4358 Cu
0.0809 0.8077 0.5642 Cu
0.3162 0.1318 0.4410 H
0.6838 0.8682 0.5590 H
0.4410 0.3162 0.1318 H
0.5590 0.6838 0.8682 H
0.8682 0.5590 0.6838 H
0.1318 0.4410 0.3162 H
0.6861 0.3149 0.2495 P
0.6851 0.7505 0.3139 P
0.3149 0.2495 0.6861 P
0.7505 0.3139 0.6851 P
0.2495 0.6861 0.3149 P
0.3139 0.6851 0.7505 P
```

# 2
A plane-wave DFT calculation with PBE was carried out for a relaxed structure of CuP2H4O4.

Calculated values
Energy relative to the lowest polymorph listed for this composition = 0.000 eV/atom
Volume = 127 Å³/f.u.
E_form = -1.1601 eV per atom

Structure (POSCAR):
```
CuP2H4O4
1.0
-2.7381 -3.9692 -2.6909
0.9733 -3.9968 4.9051
-12.2872 4.3954 6.0195
O H P Cu
16 16 8 4
direct
0.0879 0.2244 0.4485 O
0.0879 0.2756 0.9485 O
0.4121 0.7244 0.4485 O
0.5879 0.2756 0.5515 O
0.8258 0.9302 0.8844 O
0.6742 0.0698 0.3844 O
0.3258 0.9302 0.6156 O
0.1742 0.4302 0.6156 O
0.1742 0.0698 0.1156 O
0.8258 0.5698 0.3844 O
0.3258 0.5698 0.1156 O
0.4121 0.7756 0.9485 O
0.9121 0.7244 0.0515 O
0.5879 0.2244 0.0515 O
0.9121 0.7756 0.5515 O
0.6742 0.4302 0.8844 O
0.5711 0.5775 0.6430 H
0.5333 0.7793 0.7861 H
0.9289 0.4225 0.1430 H
0.0333 0.7207 0.2139 H
0.0711 0.5775 0.8570 H
0.5333 0.7207 0.2861 H
0.0711 0.9225 0.3570 H
0.9667 0.2207 0.2861 H
0.4667 0.2793 0.7139 H
0.4289 0.0775 0.8570 H
0.4289 0.4225 0.3570 H
0.0333 0.7793 0.7139 H
0.9289 0.0775 0.6430 H
0.5711 0.9225 0.1430 H
0.9667 0.2793 0.7861 H
0.4667 0.2207 0.2139 H
0.5546 0.6120 0.3715 P
0.5546 0.8880 0.8715 P
0.4454 0.1120 0.1285 P
0.9454 0.1120 0.3715 P
0.0546 0.8880 0.6285 P
0.4454 0.3880 0.6285 P
0.9454 0.3880 0.8715 P
0.0546 0.6120 0.1285 P
0.5000 0.5000 0.0000 Cu
0.0000 0.5000 0.5000 Cu
0.5000 0.0000 0.5000 Cu
0.0000 0.0000 0.0000 Cu
```

# 3
A plane-wave DFT calculation with PBE was carried out for a relaxed structure of CuPH5O5.

Calculated values
Energy relative to the lowest polymorph listed for this composition = 0.008 eV/atom
Volume = 113 Å³/f.u.
E_form = -1.4070 eV per atom

Structure (POSCAR):
```
CuPH5O5
1.0
-1.3120 6.5774 -3.3982
-7.0614 -1.1245 0.5497
-3.0844 3.3537 7.6821
H O P Cu
20 20 4 4
direct
0.2536 0.2777 0.6095 H
0.7536 0.7223 0.8905 H
0.5692 0.3663 0.2545 H
0.4269 0.8873 0.4272 H
0.9308 0.3663 0.7545 H
0.9269 0.1127 0.0728 H
0.0731 0.8873 0.9272 H
0.6917 0.5065 0.0118 H
0.2464 0.2777 0.1095 H
0.0862 0.4183 0.8519 H
0.5862 0.5817 0.6481 H
0.1917 0.4935 0.4882 H
0.7464 0.7223 0.3905 H
0.9138 0.5817 0.1481 H
0.4308 0.6337 0.7455 H
0.8083 0.5065 0.5118 H
0.3083 0.4935 0.9882 H
0.0692 0.6337 0.2455 H
0.4138 0.4183 0.3519 H
0.5731 0.1127 0.5728 H
0.1747 0.8858 0.6722 O
0.2235 0.3558 0.4948 O
0.2061 0.1263 0.2946 O
0.1373 0.7490 0.4202 O
0.7765 0.6442 0.5052 O
0.7939 0.8737 0.7054 O
0.3627 0.7490 0.9202 O
0.5206 0.4726 0.2875 O
0.2939 0.1263 0.7946 O
0.2765 0.3558 0.9948 O
0.3253 0.8858 0.1722 O
0.7061 0.8737 0.2054 O
0.6747 0.1142 0.8278 O
0.8627 0.2510 0.5798 O
0.0206 0.5274 0.2125 O
0.9794 0.4726 0.7875 O
0.8253 0.1142 0.3278 O
0.7235 0.6442 0.0052 O
0.6373 0.2510 0.0798 O
0.4794 0.5274 0.7125 O
0.2253 0.9118 0.8303 P
0.2747 0.9118 0.3303 P
0.7253 0.0882 0.6697 P
0.7747 0.0882 0.1697 P
0.9752 0.7747 0.5900 Cu
0.4752 0.2253 0.9100 Cu
0.5248 0.7747 0.0900 Cu
0.0248 0.2253 0.4100 Cu
```

# 4
A plane-wave DFT calculation with PBE was carried out for a relaxed structure of CuP2H4O4.

Calculated values
Energy relative to the lowest polymorph listed for this composition = 0.000 eV/atom
Volume = 138 Å³/f.u.
E_form = -1.1602 eV per atom

Structure (POSCAR):
```
CuP2H4O4
1.0
0.0000 5.5460 0.0000
0.1571 0.0000 6.5957
7.5186 0.0000 -0.9982
O Cu H P
8 2 8 4
direct
0.9147 0.7490 0.1053 O
0.6744 0.3992 0.7825 O
0.0853 0.2510 0.8947 O
0.4147 0.7510 0.8947 O
0.5853 0.2490 0.1053 O
0.3256 0.6008 0.2175 O
0.8256 0.8992 0.7825 O
0.1744 0.1008 0.2175 O
0.0000 0.0000 0.0000 Cu
0.5000 0.5000 0.0000 Cu
0.5559 0.7126 0.5894 H
0.0559 0.7874 0.4106 H
0.9269 0.4842 0.2852 H
0.0731 0.5158 0.7148 H
0.4269 0.0158 0.7148 H
0.9441 0.2126 0.5894 H
0.4441 0.2874 0.4106 H
0.5731 0.9842 0.2852 H
0.5605 0.8426 0.7505 P
0.4395 0.1574 0.2495 P
0.9395 0.3426 0.7505 P
0.0605 0.6574 0.2495 P
```

# 5
A plane-wave DFT calculation with PBE was carried out for a relaxed structure of CuPH5O5.

Calculated values
Energy relative to the lowest polymorph listed for this composition = 0.000 eV/atom
Volume = 113 Å³/f.u.
E_form = -1.4147 eV per atom

Structure (POSCAR):
```
CuPH5O5
1.0
-3.1325 5.8409 -1.0736
-5.3101 -3.5444 -3.7896
-4.7243 -1.1237 7.6707
H O P Cu
20 20 4 4
direct
0.9803 0.0624 0.8403 H
0.1367 0.3031 0.3834 H
0.6797 0.1335 0.9630 H
0.9370 0.8589 0.8246 H
0.6263 0.8118 0.5583 H
0.8203 0.8665 0.4630 H
0.0197 0.5624 0.6597 H
0.6367 0.1969 0.6166 H
0.5197 0.9376 0.3403 H
0.5630 0.1411 0.3246 H
0.4370 0.6411 0.1754 H
0.3737 0.3118 0.9417 H
0.1263 0.6882 0.4417 H
0.4803 0.4376 0.1597 H
0.8737 0.1882 0.0583 H
0.8633 0.8031 0.1166 H
0.1797 0.3665 0.0370 H
0.3633 0.6969 0.8834 H
0.0630 0.3589 0.6754 H
0.3203 0.6335 0.5370 H
0.0014 0.0241 0.4656 O
0.2187 0.7725 0.1402 O
0.9986 0.5241 0.0344 O
0.0454 0.9486 0.8130 O
0.4986 0.9759 0.9656 O
0.4847 0.8901 0.6907 O
0.3019 0.2879 0.0374 O
0.9546 0.4486 0.6870 O
0.1981 0.7121 0.5374 O
0.8019 0.2121 0.9626 O
0.7187 0.7275 0.8598 O
0.5014 0.4759 0.5344 O
0.5454 0.5514 0.1870 O
0.5153 0.3901 0.8093 O
0.7813 0.2725 0.3598 O
0.2813 0.2275 0.6402 O
0.4546 0.0514 0.3130 O
0.0153 0.1099 0.1907 O
0.9847 0.6099 0.3093 O
0.6981 0.7879 0.4626 O
0.9866 0.1783 0.3512 P
0.5134 0.8217 0.8512 P
0.0134 0.6783 0.1488 P
0.4866 0.3217 0.6488 P
0.2657 0.0291 0.0954 Cu
0.2343 0.9709 0.5954 Cu
0.7343 0.5291 0.4046 Cu
0.7657 0.4709 0.9046 Cu
```

# 6
A plane-wave DFT calculation with PBE was carried out for a relaxed structure of CuP2H4O4.

Calculated values
Energy relative to the lowest polymorph listed for this composition = 0.022 eV/atom
Volume = 135 Å³/f.u.
E_form = -1.1384 eV per atom

Structure (POSCAR):
```
CuP2H4O4
1.0
-0.8162 -1.5834 -5.1526
-5.2121 -3.7813 1.9876
-4.5107 5.6761 -1.0298
P Cu O H
4 2 8 8
direct
0.5000 0.7500 0.3628 P
0.0000 0.7500 0.8558 P
0.0000 0.2500 0.1442 P
0.5000 0.2500 0.6372 P
0.5000 0.5000 0.0000 Cu
0.5000 0.0000 0.0000 Cu
0.2393 0.7500 0.9655 O
0.7607 0.7500 0.9655 O
0.5000 0.5528 0.2592 O
0.2393 0.2500 0.0345 O
0.5000 0.0528 0.7408 O
0.7607 0.2500 0.0345 O
0.5000 0.4472 0.7408 O
0.5000 0.9472 0.2592 O
0.0000 0.0836 0.2618 H
0.7032 0.2500 0.5175 H
0.0000 0.9164 0.7382 H
0.0000 0.5836 0.7382 H
0.2968 0.2500 0.5175 H
0.0000 0.4164 0.2618 H
0.2968 0.7500 0.4825 H
0.7032 0.7500 0.4825 H
```

# 7
A plane-wave DFT calculation with PBE was carried out for a relaxed structure of CuP2H4O6.

Calculated values
Volume = 160 Å³/f.u.
E_form = -1.5420 eV per atom

Structure (POSCAR):
```
CuP2H4O6
1.0
9.4846 0.0000 0.0000
0.0000 8.2739 0.0000
0.0000 3.4375 8.1567
O H P Cu
24 16 8 4
direct
0.0865 0.2321 0.0859 O
0.9507 0.8545 0.1509 O
0.4025 0.1991 0.6766 O
0.8933 0.1003 0.6305 O
0.6067 0.6003 0.6305 O
0.1892 0.1843 0.5008 O
0.9135 0.7679 0.9141 O
0.3933 0.3997 0.3695 O
0.6892 0.3157 0.4992 O
0.0559 0.5638 0.1662 O
0.4135 0.7321 0.0859 O
0.5865 0.2679 0.9141 O
0.5559 0.9362 0.8338 O
0.3108 0.6843 0.5008 O
0.9441 0.4362 0.8338 O
0.4441 0.0638 0.1662 O
0.5975 0.8009 0.3234 O
0.8108 0.8157 0.4992 O
0.4507 0.6455 0.8491 O
0.1067 0.8997 0.3695 O
0.0493 0.1455 0.8491 O
0.5493 0.3545 0.1509 O
0.0975 0.6991 0.6766 O
0.9025 0.3009 0.3234 O
0.9799 0.4696 0.2235 H
0.1493 0.8262 0.9885 H
0.0811 0.5972 0.4583 H
0.4892 0.3671 0.2427 H
0.9892 0.1329 0.7573 H
0.5811 0.9028 0.5417 H
0.5201 0.9696 0.2235 H
0.3507 0.3262 0.9885 H
0.4799 0.0304 0.7765 H
0.9189 0.4028 0.5417 H
0.5108 0.6329 0.7573 H
0.8507 0.1738 0.0115 H
0.4189 0.0972 0.4583 H
0.0108 0.8671 0.2427 H
0.0201 0.5304 0.7765 H
0.6493 0.6738 0.0115 H
0.8484 0.2794 0.4947 P
0.9828 0.2448 0.9504 P
0.0172 0.7552 0.0496 P
0.5172 0.7448 0.9504 P
0.1516 0.7206 0.5053 P
0.3484 0.2206 0.5053 P
0.4828 0.2552 0.0496 P
0.6516 0.7794 0.4947 P
0.3979 0.6529 0.3188 Cu
0.1021 0.1529 0.3188 Cu
0.6021 0.3471 0.6812 Cu
0.8979 0.8471 0.6812 Cu
```

# 8
A plane-wave DFT calculation with PBE was carried out for a relaxed structure of CuH2PbSO6.

Calculated values
Volume = 132 Å³/f.u.
E_form = -1.5380 eV per atom

Structure (POSCAR):
```
CuH2PbSO6
1.0
-5.2449 -2.2915 -0.3563
0.0417 -0.8239 4.6859
-3.8935 8.2987 3.9430
O H Cu S Pb
12 4 2 2 2
direct
0.2500 0.2396 0.3330 O
0.7500 0.1742 0.0939 O
0.2500 0.2543 0.0330 O
0.9632 0.3102 0.7445 O
0.0368 0.6898 0.2555 O
0.7500 0.7457 0.9670 O
0.4632 0.6898 0.2555 O
0.7500 0.7604 0.6670 O
0.2500 0.5932 0.4757 O
0.2500 0.8258 0.9061 O
0.5368 0.3102 0.7445 O
0.7500 0.4068 0.5243 O
0.7500 0.3913 0.0573 H
0.2500 0.6087 0.9427 H
0.2500 0.2529 0.1319 H
0.7500 0.7471 0.8681 H
0.5000 0.0000 0.0000 Cu
0.0000 0.0000 0.0000 Cu
0.2500 0.5540 0.3333 S
0.7500 0.4460 0.6667 S
0.2500 0.0220 0.6588 Pb
0.7500 0.9780 0.3412 Pb
```

Number 1: E_tot -258.6 eV for the cell shown. Number 2: E_tot -233.2 eV for the cell shown. Number 3: E_tot -258.7 eV for the cell shown. Number 4: E_tot -116.6 eV for the cell shown. Number 5: E_tot -259.0 eV for the cell shown. Number 6: E_tot -116.1 eV for the cell shown. Number 7: E_tot -296.4 eV for the cell shown. Number 8: E_tot -122.4 eV for the cell shown.